a.
Computed, not measured: an optimized crystal structure of Nd2MgS4 at the PBE-GGA level of DFT.

For the calculated volume, the calculation gives 721.0 Å³ per cell. The value obtained for the total magnetic moment is 0.00 μB per formula unit.

Structure (POSCAR):
```
Nd2MgS4
1.0
12.958 0.000 0.000
0.000 3.973 0.000
0.000 0.000 14.004
Nd Mg S
8 4 16
Direct
0.122 0.250 0.074 Nd
0.132 0.250 0.708 Nd
0.368 0.750 0.208 Nd
0.378 0.750 0.574 Nd
0.622 0.250 0.426 Nd
0.632 0.250 0.792 Nd
0.868 0.750 0.292 Nd
0.878 0.750 0.926 Nd
0.107 0.750 0.461 Mg
0.393 0.250 0.961 Mg
0.607 0.750 0.039 Mg
0.893 0.250 0.539 Mg
0.002 0.750 0.613 S
0.025 0.250 0.885 S
0.229 0.250 0.246 S
0.231 0.250 0.516 S
0.269 0.750 0.016 S
0.271 0.750 0.746 S
0.475 0.750 0.385 S
0.498 0.250 0.113 S
0.502 0.750 0.887 S
0.525 0.250 0.615 S
0.729 0.250 0.254 S
0.731 0.250 0.984 S
0.769 0.750 0.484 S
0.771 0.750 0.754 S
0.975 0.750 0.115 S
0.998 0.250 0.387 S
```

b.
Computed, not measured: an optimized crystal structure of Nd2MgS4 at the PBE-GGA level of DFT.

For the calculated volume, the calculation gives 307.4 Å³ per cell. The value obtained for the total magnetic moment is 0.00 μB per formula unit.

Structure (POSCAR):
```
Nd2MgS4
1.0
-4.176 4.176 4.408
4.176 -4.176 4.408
4.176 4.176 -4.408
Nd Mg S
4 2 8
Direct
0.007 0.625 0.882 Nd
0.375 0.257 0.382 Nd
0.743 0.125 0.118 Nd
0.875 0.993 0.618 Nd
0.250 0.750 0.500 Mg
0.500 0.500 0.000 Mg
0.006 0.877 0.267 S
0.123 0.390 0.130 S
0.140 0.373 0.630 S
0.261 0.994 0.870 S
0.489 0.860 0.233 S
0.610 0.739 0.733 S
0.627 0.256 0.767 S
0.744 0.511 0.370 S
```

It is b that is the most stable of them.

a.
Computed, not measured: an optimized crystal structure of Nd2MgS4 at the PBE-GGA level of DFT.

For the calculated volume, the calculation gives 791.9 Å³ per cell. The value obtained for the total magnetic moment is 0.00 μB per formula unit.

Structure (POSCAR):
```
Nd2MgS4
1.0
7.624 0.000 0.000
-0.190 8.899 0.000
-1.338 -2.144 11.672
Nd Mg S
8 4 16
Direct
0.131 0.447 0.335 Nd
0.139 0.973 0.346 Nd
0.252 0.130 0.997 Nd
0.364 0.294 0.658 Nd
0.636 0.706 0.342 Nd
0.748 0.870 0.003 Nd
0.861 0.027 0.654 Nd
0.869 0.553 0.665 Nd
0.252 0.611 0.993 Mg
0.360 0.793 0.686 Mg
0.640 0.207 0.314 Mg
0.748 0.389 0.007 Mg
0.096 0.411 0.105 S
0.103 0.914 0.117 S
0.200 0.545 0.603 S
0.204 0.006 0.609 S
0.299 0.720 0.378 S
0.351 0.229 0.394 S
0.385 0.834 0.892 S
0.401 0.360 0.888 S
0.599 0.640 0.112 S
0.615 0.166 0.108 S
0.649 0.771 0.606 S
0.701 0.280 0.622 S
0.796 0.994 0.391 S
0.800 0.455 0.397 S
0.897 0.086 0.883 S
0.904 0.589 0.895 S
```

b.
Computed, not measured: an optimized crystal structure of Nd2MgS4 at the PBE-GGA level of DFT.

For the calculated volume, the calculation gives 1327.6 Å³ per cell. The value obtained for the total magnetic moment is 0.00 μB per formula unit.

Structure (POSCAR):
```
Nd2MgS4
1.0
13.055 0.000 0.000
0.000 7.815 0.000
0.000 0.000 13.013
Nd Mg S
16 8 32
Direct
0.109 0.114 0.000 Nd
0.127 0.616 0.642 Nd
0.135 0.369 0.310 Nd
0.136 0.869 0.309 Nd
0.364 0.869 0.809 Nd
0.365 0.369 0.810 Nd
0.373 0.616 0.142 Nd
0.391 0.114 0.500 Nd
0.609 0.886 0.000 Nd
0.627 0.384 0.642 Nd
0.635 0.631 0.310 Nd
0.636 0.131 0.309 Nd
0.864 0.131 0.809 Nd
0.865 0.631 0.810 Nd
0.873 0.384 0.142 Nd
0.891 0.886 0.500 Nd
0.111 0.615 0.009 Mg
0.126 0.120 0.636 Mg
0.374 0.120 0.136 Mg
0.389 0.615 0.509 Mg
0.611 0.385 0.009 Mg
0.626 0.880 0.636 Mg
0.874 0.880 0.136 Mg
0.889 0.385 0.509 Mg
0.011 0.118 0.195 S
0.025 0.628 0.183 S
0.028 0.618 0.445 S
0.047 0.126 0.456 S
0.210 0.119 0.811 S
0.210 0.619 0.840 S
0.232 0.365 0.092 S
0.233 0.867 0.090 S
0.267 0.867 0.590 S
0.268 0.365 0.592 S
0.290 0.119 0.311 S
0.290 0.619 0.340 S
0.453 0.126 0.956 S
0.472 0.618 0.945 S
0.475 0.628 0.683 S
0.489 0.118 0.695 S
0.511 0.882 0.195 S
0.525 0.372 0.183 S
0.528 0.382 0.445 S
0.547 0.874 0.456 S
0.710 0.381 0.840 S
0.710 0.881 0.811 S
0.732 0.635 0.092 S
0.733 0.133 0.090 S
0.767 0.133 0.590 S
0.768 0.635 0.592 S
0.790 0.381 0.340 S
0.790 0.881 0.311 S
0.953 0.874 0.956 S
0.972 0.382 0.945 S
0.975 0.372 0.683 S
0.989 0.882 0.695 S
```

c.
Computed, not measured: an optimized crystal structure of Nd2MgS4 at the PBE-GGA level of DFT.

For the calculated volume, the calculation gives 698.7 Å³ per cell. The value obtained for the total magnetic moment is 0.00 μB per formula unit.

Structure (POSCAR):
```
Nd2MgS4
1.0
8.232 0.000 0.000
0.000 7.238 0.000
0.000 0.000 11.727
Nd Mg S
8 4 16
Direct
0.031 0.250 0.186 Nd
0.086 0.750 0.465 Nd
0.414 0.250 0.965 Nd
0.469 0.750 0.686 Nd
0.531 0.250 0.314 Nd
0.586 0.750 0.035 Nd
0.914 0.250 0.535 Nd
0.969 0.750 0.814 Nd
0.192 0.750 0.085 Mg
0.308 0.250 0.585 Mg
0.692 0.750 0.415 Mg
0.808 0.250 0.915 Mg
0.088 0.250 0.944 S
0.143 0.505 0.654 S
0.143 0.995 0.654 S
0.206 0.250 0.391 S
0.294 0.750 0.891 S
0.357 0.005 0.154 S
0.357 0.495 0.154 S
0.412 0.750 0.444 S
0.588 0.250 0.556 S
0.643 0.505 0.846 S
0.643 0.995 0.846 S
0.706 0.250 0.109 S
0.794 0.750 0.609 S
0.857 0.005 0.346 S
0.857 0.495 0.346 S
0.912 0.750 0.056 S
```

It is b that is the most stable of them.

a.
Computed, not measured: an optimized crystal structure of NdMgSe3 at the PBE-GGA level of DFT.

For the calculated volume, the calculation gives 842.4 Å³ per cell. The value obtained for the total magnetic moment is 0.56 μB per formula unit.

Structure (POSCAR):
```
NdMgSe3
1.0
7.036 0.000 0.000
-3.518 6.093 0.000
0.000 0.000 19.649
Se Nd Mg
18 6 6
Direct
0.627 0.621 0.583 Se
0.379 0.006 0.583 Se
0.373 0.379 0.417 Se
0.994 0.373 0.583 Se
0.954 0.661 0.084 Se
0.293 0.954 0.916 Se
0.040 0.712 0.751 Se
0.621 0.994 0.417 Se
0.328 0.040 0.249 Se
0.707 0.046 0.084 Se
0.046 0.339 0.916 Se
0.006 0.627 0.417 Se
0.712 0.672 0.249 Se
0.339 0.293 0.084 Se
0.672 0.960 0.751 Se
0.960 0.288 0.249 Se
0.661 0.707 0.916 Se
0.288 0.328 0.751 Se
0.333 0.667 0.019 Nd
0.667 0.333 0.686 Nd
0.000 0.000 0.352 Nd
0.333 0.667 0.314 Nd
0.667 0.333 0.981 Nd
0.000 0.000 0.648 Nd
0.667 0.333 0.171 Mg
0.000 0.000 0.162 Mg
0.000 0.000 0.838 Mg
0.667 0.333 0.496 Mg
0.333 0.667 0.829 Mg
0.333 0.667 0.504 Mg
```

b.
Computed, not measured: an optimized crystal structure of NdMgSe3 at the PBE-GGA level of DFT.

For the calculated volume, the calculation gives 299.5 Å³ per cell. The value obtained for the total magnetic moment is 0.00 μB per formula unit.

Structure (POSCAR):
```
NdMgSe3
1.0
3.914 -6.241 0.000
3.914 6.241 0.000
-3.059 0.000 6.131
Nd Mg Se
2 2 6
Direct
0.196 0.196 0.315 Nd
0.804 0.804 0.685 Nd
0.332 0.668 0.000 Mg
0.668 0.332 0.000 Mg
0.106 0.762 0.219 Se
0.238 0.894 0.781 Se
0.473 0.473 0.749 Se
0.527 0.527 0.251 Se
0.762 0.106 0.219 Se
0.894 0.238 0.781 Se
```

It is a that is the most stable of them.

a.
Computed, not measured: an optimized crystal structure of RbMg6Ni at the PBE-GGA level of DFT.

For the calculated volume, the calculation gives 427.1 Å³ per cell. The value obtained for the total magnetic moment is 0.00 μB per formula unit.

Structure (POSCAR):
```
RbMg6Ni
1.0
4.489 0.000 0.000
0.000 6.343 0.000
0.000 0.000 15.001
Rb Mg Ni
2 12 2
Direct
0.000 0.000 0.000 Rb
0.000 0.500 0.500 Rb
0.000 0.000 0.446 Mg
0.000 0.239 0.202 Mg
0.000 0.261 0.702 Mg
0.000 0.500 0.946 Mg
0.000 0.739 0.702 Mg
0.000 0.761 0.202 Mg
0.500 0.000 0.610 Mg
0.500 0.242 0.330 Mg
0.500 0.258 0.830 Mg
0.500 0.500 0.110 Mg
0.500 0.742 0.830 Mg
0.500 0.758 0.330 Mg
0.500 0.000 0.191 Ni
0.500 0.500 0.691 Ni
```

b.
Computed, not measured: an optimized crystal structure of RbMg6Ni at the PBE-GGA level of DFT.

For the calculated volume, the calculation gives 385.9 Å³ per cell. The value obtained for the total magnetic moment is 0.00 μB per formula unit.

Structure (POSCAR):
```
RbMg6Ni
1.0
5.223 0.000 0.000
0.000 6.467 0.000
0.000 0.000 11.426
Mg Rb Ni
12 2 2
Direct
0.000 0.000 0.844 Mg
0.500 0.247 0.917 Mg
0.000 0.224 0.085 Mg
0.000 0.724 0.585 Mg
0.500 0.753 0.917 Mg
0.000 0.500 0.344 Mg
0.500 0.747 0.417 Mg
0.000 0.776 0.085 Mg
0.000 0.276 0.585 Mg
0.000 0.000 0.326 Mg
0.000 0.500 0.826 Mg
0.500 0.253 0.417 Mg
0.500 0.500 0.165 Rb
0.500 0.000 0.665 Rb
0.500 0.000 0.162 Ni
0.500 0.500 0.662 Ni
```

It is a that is the most stable of them.

a.
Computed, not measured: an optimized crystal structure of RbMg14Ni at the PBE-GGA level of DFT.

For the calculated volume, the calculation gives 379.7 Å³ per cell. The value obtained for the total magnetic moment is 0.00 μB per formula unit.

Structure (POSCAR):
```
RbMg14Ni
1.0
6.427 0.000 0.000
-3.214 5.566 0.000
0.000 0.000 10.613
Rb Mg Ni
1 14 1
Direct
0.000 0.000 0.000 Rb
0.007 0.504 0.000 Mg
0.163 0.327 0.282 Mg
0.163 0.327 0.718 Mg
0.163 0.837 0.282 Mg
0.163 0.837 0.718 Mg
0.496 0.504 0.000 Mg
0.496 0.993 0.000 Mg
0.506 0.013 0.500 Mg
0.506 0.494 0.500 Mg
0.667 0.333 0.241 Mg
0.667 0.333 0.759 Mg
0.673 0.837 0.282 Mg
0.673 0.837 0.718 Mg
0.987 0.494 0.500 Mg
0.000 0.000 0.500 Ni
```

b.
Computed, not measured: an optimized crystal structure of RbMg14Ni at the PBE-GGA level of DFT.

For the calculated volume, the calculation gives 381.5 Å³ per cell. The value obtained for the total magnetic moment is 0.00 μB per formula unit.

Structure (POSCAR):
```
RbMg14Ni
1.0
10.540 0.000 0.000
0.000 3.159 5.729
0.000 -3.159 5.729
Rb Mg Ni
1 14 1
Direct
0.000 0.000 0.000 Rb
0.000 0.007 0.495 Mg
0.000 0.495 0.007 Mg
0.206 0.612 0.612 Mg
0.258 0.131 0.617 Mg
0.258 0.617 0.131 Mg
0.277 0.133 0.133 Mg
0.500 0.468 0.468 Mg
0.500 0.471 0.957 Mg
0.500 0.957 0.471 Mg
0.500 0.960 0.960 Mg
0.723 0.133 0.133 Mg
0.742 0.131 0.617 Mg
0.742 0.617 0.131 Mg
0.794 0.612 0.612 Mg
0.000 0.439 0.439 Ni
```

It is b that is the most stable of them.

a.
Computed, not measured: an optimized crystal structure of MgNi4S8 at the PBE-GGA level of DFT.

For the calculated volume, the calculation gives 232.2 Å³ per cell. The value obtained for the total magnetic moment is 0.03 μB per formula unit.

Structure (POSCAR):
```
MgNi4S8
1.0
3.374 1.948 5.886
-3.374 1.948 5.886
0.000 -3.896 5.886
Mg Ni S
1 4 8
Direct
0.000 0.000 0.000 Mg
0.000 0.000 0.500 Ni
0.000 0.500 0.000 Ni
0.500 0.000 0.000 Ni
0.500 0.500 0.500 Ni
0.226 0.739 0.739 S
0.233 0.233 0.233 S
0.261 0.261 0.774 S
0.261 0.774 0.261 S
0.739 0.226 0.739 S
0.739 0.739 0.226 S
0.767 0.767 0.767 S
0.774 0.261 0.261 S
```

b.
Computed, not measured: an optimized crystal structure of MgNi4S8 at the PBE-GGA level of DFT.

For the calculated volume, the calculation gives 252.2 Å³ per cell. The value obtained for the total magnetic moment is 0.00 μB per formula unit.

Structure (POSCAR):
```
MgNi4S8
1.0
6.133 -3.545 0.000
6.133 3.545 0.000
-4.127 0.000 5.798
Mg Ni S
1 4 8
Direct
0.000 0.000 0.000 Mg
0.415 0.864 0.140 Ni
0.863 0.863 0.587 Ni
0.864 0.415 0.140 Ni
0.864 0.864 0.141 Ni
0.074 0.645 0.360 S
0.130 0.130 0.386 S
0.131 0.131 0.875 S
0.131 0.614 0.874 S
0.614 0.131 0.874 S
0.644 0.644 0.357 S
0.644 0.644 0.931 S
0.645 0.074 0.360 S
```

It is a that is the most stable of them.